Record 1
The following is a DFT calculation (PBE) of a geometry-optimized Ta2CN structure.

As for the formation enthalpy at 0 K: -0.82 eV/atom. The value obtained for the excess energy over the best structure of this formula in the dataset is 0.018 eV/atom.

a b c (Å): 3.1468 3.1468 4.4577
angles (deg): 90.00 90.00 90.00
Space group P4/mmm (No. 123)
Unique sites:
Ta 0.0000 0.0000 0.0000 [1 per cell]
Ta 0.5000 0.5000 0.5000 [1 per cell]
C 0.0000 0.0000 0.5000 [1 per cell]
N 0.5000 0.5000 0.0000 [1 per cell]



Record 2
The following is a DFT calculation (PBE) of a geometry-optimized TaTiCN structure.

As for the formation enthalpy at 0 K: -1.16 eV/atom.

a b c (Å): 3.0932 3.0932 15.2543
angles (deg): 90.00 90.00 120.00
Space group R3m (No. 160, hexagonal axes)
Unique sites:
Ta 0.0000 0.0000 0.0000 [3 per cell]
Ti 0.0000 0.0000 0.4925 [3 per cell]
C 0.0000 0.0000 0.7490 [3 per cell]
N 0.0000 0.0000 0.2462 [3 per cell]



Record 3
The following is a DFT calculation (PBE) of a geometry-optimized TaVCN structure.

As for the formation enthalpy at 0 K: -0.83 eV/atom.

a b c (Å): 3.0698 3.0698 14.9287
angles (deg): 90.00 90.00 120.00
Space group R3m (No. 160, hexagonal axes)
Unique sites:
Ta 0.0000 0.0000 0.0000 [3 per cell]
V 0.0000 0.0000 0.5132 [3 per cell]
C 0.0000 0.0000 0.2487 [3 per cell]
N 0.0000 0.0000 0.7547 [3 per cell]



Record 4
The following is a DFT calculation (PBE) of a geometry-optimized ZrTaCN structure.

As for the formation enthalpy at 0 K: -1.14 eV/atom.

a b c (Å): 3.2146 3.2146 15.8973
angles (deg): 90.00 90.00 120.00
Space group R3m (No. 160, hexagonal axes)
Unique sites:
Zr 0.0000 0.0000 0.0000 [3 per cell]
Ta 0.0000 0.0000 0.5069 [3 per cell]
C 0.0000 0.0000 0.2479 [3 per cell]
N 0.0000 0.0000 0.7584 [3 per cell]